Entry 1:
This record from the Materials Project database describes a relaxed structure of TeO2. The functional is meta-GGA r2SCAN.

Unit cell a=6.9242 b=6.9242 c=3.3621 alpha=90.00 beta=90.00 gamma=152.39
Closest atoms and distances in Å follow each position.
Element x y z (fractional)
O (0.5990, 0.4010, 0.7500)  4 Te 2.44, 4 O 2.62-2.64
O (0.2500, 0.7500, 0.7500)  4 Te 2.16-2.19, 4 O 2.36
O (0.7500, 0.2500, 0.2500)  4 Te 2.16-2.19, 4 O 2.36
O (0.4010, 0.5990, 0.2500)  4 Te 2.44, 4 O 2.62-2.64
Te (0.1462, 0.8538, 0.2500)  4 O 2.16-2.19
Te (0.8538, 0.1462, 0.7500)  4 O 2.16-2.19

The symmetry is Cmcm (63). As for the formation energy: -468 meV per atom.

---

Entry 2:
This record from the Materials Project database describes a relaxed structure of Dy5In4Pd2. The functional is meta-GGA r2SCAN.

Unit cell a=3.6323 b=8.0382 c=18.1833 alpha=90.00 beta=90.00 gamma=90.00
Closest atoms and distances in Å follow each position.
Element x y z (fractional)
Pd (0.5000, 0.9730, 0.6955)  6 Dy 2.83-2.95, 2 In 2.93-2.99
Pd (0.5000, 0.5270, 0.1955)  6 Dy 2.83-2.95, 2 In 2.93-2.99
Pd (0.5000, 0.4730, 0.8045)  6 Dy 2.83-2.95, 2 In 2.93-2.99
Pd (0.5000, 0.0270, 0.3045)  6 Dy 2.83-2.95, 2 In 2.93-2.99
Dy (0.0000, 0.2427, 0.2197)  4 Pd 2.95
Dy (0.0000, 0.8833, 0.5831)  2 Pd 2.83
Dy (0.0000, 0.0000, 0.0000)  8 In 3.21-3.33, 2 Dy 3.43
Dy (0.0000, 0.1167, 0.4169)  2 Pd 2.83
Dy (0.0000, 0.2573, 0.7197)  4 Pd 2.95
Dy (0.0000, 0.3833, 0.9169)  2 Pd 2.83
Dy (0.0000, 0.7427, 0.2803)  4 Pd 2.95
Dy (0.0000, 0.6167, 0.0831)  2 Pd 2.83
Dy (0.0000, 0.7573, 0.7803)  4 Pd 2.95
Dy (0.0000, 0.5000, 0.5000)  8 In 3.21-3.33, 2 Dy 3.43
In (0.5000, 0.2898, 0.0688)  1 Pd 2.99, 6 Dy 3.20-3.31, 1 In 3.30
In (0.5000, 0.7898, 0.4312)  1 Pd 2.99, 6 Dy 3.20-3.31, 1 In 3.30
In (0.5000, 0.9226, 0.1499)  1 Pd 2.93
In (0.5000, 0.7102, 0.9312)  1 Pd 2.99, 6 Dy 3.20-3.31, 1 In 3.30
In (0.5000, 0.5774, 0.6499)  1 Pd 2.93
In (0.5000, 0.0774, 0.8501)  1 Pd 2.93
In (0.5000, 0.4226, 0.3501)  1 Pd 2.93
In (0.5000, 0.2102, 0.5688)  1 Pd 2.99, 6 Dy 3.20-3.31, 1 In 3.30

The symmetry is Pbam (55). As for the formation energy: -805 meV per atom.

---

Entry 3:
This record from the Materials Project database describes a relaxed structure of PrZn5. The functional is meta-GGA r2SCAN.

Unit cell a=5.3566 b=5.3566 c=4.2119 alpha=90.00 beta=90.00 gamma=120.00
Closest atoms and distances in Å follow each position.
Element x y z (fractional)
Zn (0.6667, 0.3333, 0.0000)  6 Zn 2.61
Zn (0.0000, 0.5000, 0.5000)  8 Zn 2.61-2.68
Zn (0.5000, 0.0000, 0.5000)  8 Zn 2.61-2.68
Zn (0.5000, 0.5000, 0.5000)  8 Zn 2.61-2.68
Zn (0.3333, 0.6667, 0.0000)  6 Zn 2.61
Pr (0.0000, 0.0000, 0.0000)  18 Zn 3.09-3.41

The symmetry is P6/mmm (191). As for the formation energy: -337 meV per atom.

---

Entry 4:
This record from the Materials Project database describes a relaxed structure of CeAl6Pd. The functional is meta-GGA r2SCAN.

Unit cell a=4.2869 b=4.2869 c=8.3319 alpha=90.00 beta=90.00 gamma=90.00
Closest atoms and distances in Å follow each position.
Element x y z (fractional)
Al (0.5000, 0.5000, 0.3520)  5 Al 2.47-2.64
Al (0.5000, 0.5000, 0.6480)  5 Al 2.47-2.64
Al (0.0000, 0.5000, 0.8323)  2 Pd 2.56, 3 Al 2.64-2.79
Al (0.5000, 0.0000, 0.1677)  2 Pd 2.56, 3 Al 2.64-2.79
Al (0.0000, 0.5000, 0.1677)  2 Pd 2.56, 3 Al 2.64-2.79
Al (0.5000, 0.0000, 0.8323)  2 Pd 2.56, 3 Al 2.64-2.79
Ce (0.0000, 0.0000, 0.5000)  16 Al 3.27-3.50
Pd (0.0000, 0.0000, 0.0000)  8 Al 2.56

The symmetry is P4/mmm (123). As for the formation energy: -504 meV per atom.

---

Copy entry 3 word for word.
This record from the Materials Project database describes a relaxed structure of PrZn5. The functional is meta-GGA r2SCAN.

Unit cell a=5.3566 b=5.3566 c=4.2119 alpha=90.00 beta=90.00 gamma=120.00
Closest atoms and distances in Å follow each position.
Element x y z (fractional)
Zn (0.6667, 0.3333, 0.0000)  6 Zn 2.61
Zn (0.0000, 0.5000, 0.5000)  8 Zn 2.61-2.68
Zn (0.5000, 0.0000, 0.5000)  8 Zn 2.61-2.68
Zn (0.5000, 0.5000, 0.5000)  8 Zn 2.61-2.68
Zn (0.3333, 0.6667, 0.0000)  6 Zn 2.61
Pr (0.0000, 0.0000, 0.0000)  18 Zn 3.09-3.41

The symmetry is P6/mmm (191). As for the formation energy: -337 meV per atom.